A plane-wave DFT calculation with GGA-PBE was carried out for LuAs2O2 after structural relaxation.

The structure in extended XYZ format:
```
20
Lattice="-3.665 3.665 7.908 3.665 -3.665 7.908 3.665 3.665 -7.908" Properties=species:S:1:pos:R:3 pbc="T T T"
Lu 0.000 0.000 0.000
Lu 1.832 1.832 -3.954
Lu 1.832 -1.832 3.954
Lu 0.000 3.665 0.000
As 2.358 1.832 -0.169
As 4.971 1.832 -0.169
As 0.000 0.526 3.785
As 3.665 0.526 4.123
As 0.000 3.139 3.785
As 3.665 3.139 4.123
As -1.306 1.832 8.077
As 1.306 1.832 8.077
O 2.203 1.832 -1.927
O 5.126 1.832 -1.927
O 0.000 0.371 2.027
O 3.665 0.371 5.881
O 0.000 3.293 2.027
O 3.665 3.293 5.881
O -1.461 1.832 9.835
O 1.461 1.832 9.835
```

Crystal system: tetragonal
Electronic total energy in eV/atom: -5.918
Space-group type: I4_1/amd
Theoretical density in g/cm³: 5.6
Calculated formation energy in eV per atom: -1.446
Magnetic moment in μB per formula unit: 0.14


A plane-wave DFT calculation with GGA-PBE was carried out for Sm2O3 after structural relaxation.

The structure in extended XYZ format:
```
5
Lattice="3.796 0.000 0.000 -1.898 3.288 0.000 0.000 0.000 6.011" Properties=species:S:1:pos:R:3 pbc="T T T"
Sm 0.000 2.192 1.498
Sm 1.898 1.096 4.513
O 0.000 0.000 0.000
O 0.000 2.192 3.877
O 1.898 1.096 2.134
```

Crystal system: trigonal
Electronic total energy in eV/atom: -8.266
Space-group type: P-3m1
Theoretical density in g/cm³: 7.7
Calculated formation energy in eV per atom: -3.822


A plane-wave DFT calculation with GGA-PBE was carried out for Er2Ti12Cu9O36 after structural relaxation.

The structure in extended XYZ format:
```
59
Lattice="10.510 0.000 0.000 -5.255 9.102 0.000 0.000 0.000 6.451" Properties=species:S:1:pos:R:3 pbc="T T T"
Er 0.000 6.068 2.120
Er 5.255 3.034 4.331
Ti 0.000 0.000 3.225
Ti -2.627 4.551 3.225
Ti -2.743 7.635 1.051
Ti 0.014 2.908 1.051
Ti 2.526 1.442 5.400
Ti 0.000 6.068 5.423
Ti 5.255 0.000 3.225
Ti 2.627 4.551 3.225
Ti 5.255 3.034 1.028
Ti 2.729 7.660 1.051
Ti 5.241 6.193 5.400
Ti 7.998 1.466 5.400
Cu -2.627 4.551 0.000
Cu -2.599 7.566 4.266
Cu 0.002 3.068 4.266
Cu 2.658 1.532 2.185
Cu 5.255 0.000 0.000
Cu 2.627 4.551 0.000
Cu 2.597 7.570 4.266
Cu 5.253 6.034 2.185
Cu 7.854 1.536 2.185
O -4.301 7.751 2.131
O -3.603 7.050 5.876
O -2.479 5.693 1.616
O -0.915 3.749 2.664
O 0.693 1.502 2.131
O 1.647 0.151 4.319
O -1.554 5.911 4.164
O -0.652 4.642 0.118
O 0.951 2.456 5.876
O 2.603 0.405 0.574
O -1.551 8.020 2.664
O -0.909 7.345 0.118
O 0.913 4.800 4.164
O 1.564 4.108 1.616
O 2.789 2.667 3.786
O 4.340 0.700 4.835
O 0.641 7.492 4.164
O 1.561 6.216 0.118
O 3.694 2.885 6.333
O 4.614 1.609 2.286
O 0.915 8.402 1.616
O 2.466 6.435 2.664
O 3.691 4.993 4.835
O 4.342 4.301 2.286
O 6.164 1.757 6.333
O 6.806 1.082 3.786
O 2.652 8.697 5.876
O 4.304 6.645 0.574
O 5.907 4.460 6.333
O 6.809 3.191 2.286
O 3.608 8.951 2.131
O 4.562 7.600 4.319
O 6.170 5.353 3.786
O 7.734 3.409 4.835
O 8.858 2.052 0.574
O 9.556 1.351 4.319
```

Crystal system: trigonal
Electronic total energy in eV/atom: -7.703
Space-group type: P-3
Theoretical density in g/cm³: 5.5
Calculated formation energy in eV per atom: -2.718
Magnetic moment in μB per formula unit: 9.00


A plane-wave DFT calculation with GGA-PBE was carried out for K3Eu after structural relaxation.

The structure in extended XYZ format:
```
8
Lattice="9.170 0.000 0.000 -4.585 7.941 0.000 0.000 0.000 7.446" Properties=species:S:1:pos:R:3 pbc="T T T"
K 0.000 2.674 1.862
K -2.269 6.604 1.862
K 2.316 1.337 5.585
K 2.269 6.604 1.862
K 6.853 1.337 5.585
K 4.585 5.267 5.585
Eu 0.000 5.294 5.585
Eu 4.585 2.647 1.862
```

Crystal system: hexagonal
Electronic total energy in eV/atom: -3.211
Excess energy over the best structure of this formula in the dataset in meV per atom: 0
Space-group type: P6_3/mmc
Theoretical density in g/cm³: 1.6
Calculated formation energy in eV per atom: 0.186
Magnetic moment in μB per formula unit: 7.67


A plane-wave DFT calculation with GGA-PBE was carried out for Pu4Ni after structural relaxation.

The structure in extended XYZ format:
```
10
Lattice="0.000 5.111 5.111 5.111 0.000 5.111 5.111 5.111 0.000" Properties=species:S:1:pos:R:3 pbc="T T T"
Pu 7.846 4.931 4.931
Pu 2.376 2.376 2.376
Pu 5.291 5.291 2.376
Pu 5.291 2.376 5.291
Pu 4.931 7.846 4.931
Pu 4.931 4.931 7.846
Pu 7.846 7.846 7.846
Pu 2.376 5.291 5.291
Ni 3.833 3.833 3.833
Ni 6.389 6.389 6.389
```

Crystal system: cubic
Electronic total energy in eV/atom: -12.105
Space-group type: Fd-3m
Theoretical density in g/cm³: 12.9
Calculated formation energy in eV per atom: 0.465
Magnetic moment in μB per formula unit: 22.88


A plane-wave DFT calculation with GGA-PBE was carried out for MgTiSiO5 after structural relaxation.

The structure in extended XYZ format:
```
16
Lattice="3.269 -4.190 0.000 3.269 4.190 0.000 -3.003 0.000 6.501" Properties=species:S:1:pos:R:3 pbc="T T T"
Mg 1.768 2.753 3.250
Mg 3.269 -2.753 0.000
Ti 1.043 0.058 4.863
Ti 2.544 -0.058 1.613
Si 3.254 2.739 0.095
Si 1.753 -2.739 3.345
O -0.838 0.403 4.397
O 2.157 1.809 0.897
O 0.663 -0.403 1.147
O 1.344 1.810 5.798
O 1.736 0.751 3.354
O 3.238 -0.751 0.104
O 0.656 -1.809 4.147
O 4.334 0.417 2.305
O 2.845 -1.810 2.548
O 2.832 -0.417 5.555
```

Crystal system: monoclinic
Electronic total energy in eV/atom: -7.774
Excess energy over the best structure of this formula in the dataset in meV per atom: 24
Space-group type: Cc
Theoretical density in g/cm³: 3.4
Calculated formation energy in eV per atom: -3.246
Magnetic moment in μB per formula unit: 0.00


A plane-wave DFT calculation with GGA-PBE was carried out for NaCa2Si3O9 after structural relaxation.

The structure in extended XYZ format:
```
30
Lattice="7.011 0.000 0.000 -0.026 7.163 0.000 -1.728 -0.815 7.864" Properties=species:S:1:pos:R:3 pbc="T T T"
Na 0.875 0.732 3.448
Na 4.382 5.615 4.416
Ca -0.870 3.954 6.729
Ca 2.622 2.452 1.191
Ca 2.635 3.895 6.673
Ca 6.127 2.394 1.136
Si -0.694 0.529 6.145
Si 0.846 4.250 3.555
Si 2.762 5.854 1.696
Si 2.495 0.494 6.168
Si 4.411 2.097 4.309
Si 5.951 5.818 1.719
O -1.382 6.200 6.336
O -0.488 5.197 3.153
O -0.845 1.589 7.353
O 0.849 2.929 2.610
O 0.878 3.977 5.143
O 0.899 0.213 5.802
O 2.134 0.167 1.439
O 2.633 4.795 0.471
O 2.157 5.223 3.105
O 3.099 1.125 4.759
O 2.624 1.552 7.393
O 3.123 6.181 6.426
O 4.357 6.134 2.062
O 4.379 2.370 2.721
O 4.407 3.418 5.254
O 6.101 4.758 0.511
O 5.745 1.150 4.712
O 6.639 0.147 1.528
```

Crystal system: triclinic
Electronic total energy in eV/atom: -7.121
Space-group type: P-1
Theoretical density in g/cm³: 2.8
Calculated formation energy in eV per atom: -3.124
Magnetic moment in μB per formula unit: 1.00


A plane-wave DFT calculation with GGA-PBE was carried out for AlCuS2 after structural relaxation.

The structure in extended XYZ format:
```
4
Lattice="1.806 1.043 6.011 -1.806 1.043 6.011 0.000 -2.085 6.011" Properties=species:S:1:pos:R:3 pbc="T T T"
Al 0.000 0.000 0.000
Cu 0.000 0.000 2.586
S 0.000 0.000 4.842
S 0.000 0.000 13.513
```

Crystal system: trigonal
Electronic total energy in eV/atom: -4.734
Space-group type: R3m
Theoretical density in g/cm³: 3.8
Calculated formation energy in eV per atom: -0.956
Magnetic moment in μB per formula unit: 0.00


A plane-wave DFT calculation with GGA-PBE was carried out for Na4Y2Si3Sn2S3O24 after structural relaxation.

The structure in extended XYZ format:
```
114
Lattice="9.151 0.000 0.000 4.545 7.976 0.000 0.060 0.376 23.493" Properties=species:S:1:pos:R:3 pbc="T T T"
Na 0.000 0.000 0.000
Na 3.131 5.521 13.907
Na 3.246 5.265 1.913
Na 1.974 2.817 3.809
Na 4.560 2.853 15.957
Na 3.372 0.413 17.987
Na 6.479 5.644 19.940
Na 7.976 7.970 6.036
Na 9.094 5.543 7.980
Na 7.702 2.807 10.133
Na 7.834 2.984 21.675
Na 11.038 8.156 12.000
Y 3.240 5.483 10.496
Y 3.286 5.621 22.178
Y 3.363 0.247 14.352
Y 7.837 7.968 2.536
Y 7.760 2.773 6.501
Y 7.860 2.843 18.334
Si 4.678 8.028 19.875
Si 1.851 2.413 0.358
Si 4.562 3.315 19.714
Si 6.468 5.724 0.128
Si 4.689 2.620 12.048
Si 9.123 5.752 11.973
Si 9.218 5.156 4.254
Si 6.586 0.528 15.860
Si 10.966 7.890 8.137
Sn 3.296 5.767 17.551
Sn 3.128 0.547 21.319
Sn 3.488 0.165 9.779
Sn 7.929 3.053 1.602
Sn 7.795 2.900 13.506
Sn 12.255 5.604 5.697
S 1.962 3.067 8.015
S 0.622 0.308 11.909
S 5.935 5.583 7.991
S 5.100 2.854 4.103
S 6.431 5.269 15.889
S 5.976 0.148 0.198
S 9.695 5.773 19.754
S 10.540 3.043 15.837
S 9.132 0.405 4.113
O 3.959 6.983 4.282
O 2.248 3.962 9.146
O 2.327 3.935 0.217
O 4.267 7.114 11.779
O 2.556 3.647 6.739
O 4.453 7.019 18.545
O 2.140 1.770 22.558
O 1.458 0.328 4.065
O 1.486 0.454 10.667
O 2.242 1.824 15.741
O 2.399 1.816 1.761
O 5.961 8.139 13.114
O 2.529 1.710 8.194
O 4.851 5.643 0.116
O 3.882 3.953 18.272
O 4.150 4.114 11.847
O 5.081 5.682 6.735
O 6.353 7.996 19.868
O 4.250 4.103 4.224
O 4.280 4.286 20.946
O 4.920 5.271 15.946
O 5.111 5.393 9.176
O 6.767 6.822 8.069
O 4.066 2.003 13.386
O 3.946 1.784 19.918
O 6.802 6.582 1.446
O 6.914 6.641 15.701
O 4.176 1.695 4.041
O 7.228 6.750 22.254
O 4.464 1.607 10.699
O 5.944 2.959 2.885
O 6.733 4.405 14.678
O 6.868 4.425 7.884
O 5.919 2.688 5.314
O 6.184 3.308 19.590
O 7.016 4.712 17.099
O 7.124 4.185 0.216
O 4.954 0.439 15.786
O 9.264 7.903 8.158
O 8.626 6.643 4.131
O 8.442 6.310 10.505
O 5.186 0.691 22.486
O 6.360 2.557 12.085
O 8.860 7.000 19.842
O 8.822 6.799 13.138
O 9.724 7.959 1.424
O 6.852 1.580 17.027
O 6.857 1.368 0.340
O 8.486 4.243 12.175
O 8.731 4.484 5.638
O 7.027 1.394 7.967
O 8.793 4.610 19.600
O 7.234 1.179 14.415
O 8.986 4.083 2.971
O 10.539 5.927 18.506
O 11.160 6.858 6.788
O 11.410 6.948 0.095
O 10.516 5.579 20.942
O 11.540 7.191 9.450
O 10.746 5.724 11.847
O 11.828 6.992 16.047
O 9.687 3.193 14.594
O 9.303 2.319 0.379
O 9.633 2.999 7.901
O 8.760 1.567 19.738
O 8.546 0.966 2.880
O 10.934 5.139 4.256
O 8.904 1.528 11.961
O 8.803 1.229 5.293
O 9.729 2.959 17.027
O 13.218 7.420 21.224
O 11.455 4.236 15.873
```

Crystal system: triclinic
Electronic total energy in eV/atom: -6.676
Space-group type: P1
Theoretical density in g/cm³: 3.1
Calculated formation energy in eV per atom: -2.540
Magnetic moment in μB per formula unit: 0.00


A plane-wave DFT calculation with GGA-PBE was carried out for Ac3La after structural relaxation.

The structure in extended XYZ format:
```
4
Lattice="-2.800 2.800 5.478 2.800 -2.800 5.478 2.800 2.800 -5.478" Properties=species:S:1:pos:R:3 pbc="T T T"
Ac 0.000 0.000 0.000
Ac 2.800 0.000 2.739
Ac 0.000 2.800 2.739
La 0.000 0.000 5.478
```

Crystal system: tetragonal
Electronic total energy in eV/atom: -4.287
Space-group type: I4/mmm
Theoretical density in g/cm³: 7.9
Calculated formation energy in eV per atom: 0.038


A plane-wave DFT calculation with GGA-PBE was carried out for Tm2PdRu after structural relaxation.

The structure in extended XYZ format:
```
4
Lattice="0.000 3.410 3.410 3.410 0.000 3.410 3.410 3.410 0.000" Properties=species:S:1:pos:R:3 pbc="T T T"
Tm 1.705 1.705 1.705
Tm 5.115 5.115 5.115
Pd 0.000 0.000 0.000
Ru 3.410 3.410 3.410
```

Crystal system: cubic
Electronic total energy in eV/atom: -6.586
Space-group type: Fm-3m
Theoretical density in g/cm³: 11.4
Calculated formation energy in eV per atom: -0.734


A plane-wave DFT calculation with GGA-PBE was carried out for HoMgS3 after structural relaxation.

The structure in extended XYZ format:
```
10
Lattice="3.540 -6.001 0.000 3.540 6.001 0.000 -2.976 0.000 5.946" Properties=species:S:1:pos:R:3 pbc="T T T"
Ho 0.445 0.000 1.911
Ho 3.659 0.000 4.035
Mg 3.540 1.950 0.000
Mg 3.540 -1.950 0.000
S 2.556 3.980 1.183
S 1.548 3.980 4.763
S 1.096 0.000 4.420
S 3.008 0.000 1.526
S 2.556 -3.980 1.183
S 1.548 -3.980 4.763
```

Crystal system: monoclinic
Electronic total energy in eV/atom: -4.933
Excess energy over the best structure of this formula in the dataset in meV per atom: 123
Space-group type: C2/m
Theoretical density in g/cm³: 3.8
Calculated formation energy in eV per atom: -1.516
Magnetic moment in μB per formula unit: 0.00